CoW2O8 | the Materials Project database | PBE+U | relaxed; E above lowest polymorph = 9 meV/atom; space group = No. 13
1.0
5.8703 0.0000 0.0000
0.0000 5.0118 0.0000
0.0000 4.5035 9.2254
Co W O
2 4 16
Direct
0.3434 0.5000 0.7500
0.6566 0.5000 0.2500
0.1696 0.2675 0.4908
0.1696 0.7325 0.0092
0.8304 0.7325 0.5092
0.8304 0.2675 0.9908
0.3395 0.7058 0.8556
0.3395 0.2942 0.6444
0.6605 0.2942 0.1444
0.6605 0.7058 0.3556
0.8954 0.1782 0.3934
0.8954 0.8218 0.1066
0.1046 0.8218 0.6066
0.1046 0.1782 0.8934
0.5954 0.2474 0.8821
0.5954 0.7526 0.6179
0.4046 0.7526 0.1179
0.4046 0.2474 0.3821
0.8918 0.6680 0.8874
0.1082 0.3320 0.1126
0.8918 0.3320 0.6126
0.1082 0.6680 0.3874